(1)
DFT (r2SCAN) results for Lu2Sn2O7 after structural relaxation.

a b c (Å): 7.259 7.259 7.259
angles (deg): 60.00 60.00 60.00
Fractional coordinates of all 22 atoms:
Lu (0.125, 0.125, 0.125)
Lu (0.125, 0.125, 0.625)
Lu (0.125, 0.625, 0.125)
Lu (0.625, 0.125, 0.125)
O (0.967, 0.967, 0.533)
O (0.717, 0.283, 0.717)
O (0.533, 0.533, 0.967)
O (0.533, 0.967, 0.533)
O (0.250, 0.250, 0.250)
O (0.967, 0.533, 0.967)
O (0.717, 0.717, 0.283)
O (0.967, 0.533, 0.533)
O (0.533, 0.967, 0.967)
O (0.717, 0.283, 0.283)
O (0.000, 0.000, 0.000)
O (0.283, 0.717, 0.283)
O (0.283, 0.283, 0.717)
O (0.283, 0.717, 0.717)
Sn (0.625, 0.625, 0.625)
Sn (0.625, 0.125, 0.625)
Sn (0.125, 0.625, 0.625)
Sn (0.625, 0.625, 0.125)

## Properties
For the total magnetization, the calculation gives 0.00 μB per atom.

***

(2)
DFT (r2SCAN) results for SrLu2O4 after structural relaxation.

a b c (Å): 3.310 9.912 11.651
angles (deg): 90.00 90.00 90.00
Fractional coordinates of all 28 atoms:
Sr (0.250, 0.754, 0.349)
Sr (0.750, 0.746, 0.849)
Sr (0.750, 0.246, 0.651)
Sr (0.250, 0.254, 0.151)
O (0.250, 0.425, 0.576)
O (0.750, 0.379, 0.020)
O (0.250, 0.621, 0.980)
O (0.250, 0.019, 0.283)
O (0.750, 0.981, 0.717)
O (0.750, 0.075, 0.076)
O (0.750, 0.790, 0.168)
O (0.250, 0.710, 0.668)
O (0.250, 0.121, 0.520)
O (0.750, 0.575, 0.424)
O (0.750, 0.290, 0.332)
O (0.250, 0.210, 0.832)
O (0.250, 0.519, 0.217)
O (0.250, 0.925, 0.924)
O (0.750, 0.879, 0.480)
O (0.750, 0.481, 0.783)
Lu (0.250, 0.427, 0.388)
Lu (0.750, 0.079, 0.391)
Lu (0.750, 0.573, 0.612)
Lu (0.250, 0.921, 0.609)
Lu (0.750, 0.579, 0.109)
Lu (0.250, 0.927, 0.112)
Lu (0.750, 0.073, 0.888)
Lu (0.250, 0.421, 0.891)

## Properties
The energy above the most stable polymorph in this dataset comes out at 0.0 kJ/mol of atoms. For the total magnetization, the calculation gives 0.00 μB per atom.

***

(3)
DFT (r2SCAN) results for SrLu2O4 after structural relaxation.

a b c (Å): 6.751 6.751 6.751
angles (deg): 60.00 60.00 60.00
Fractional coordinates of all 14 atoms:
Lu (0.125, 0.625, 0.125)
Lu (0.625, 0.125, 0.125)
Lu (0.125, 0.125, 0.625)
Lu (0.125, 0.125, 0.125)
O (0.356, 0.356, 0.931)
O (0.931, 0.356, 0.356)
O (0.356, 0.931, 0.356)
O (0.894, 0.894, 0.319)
O (0.319, 0.894, 0.894)
O (0.356, 0.356, 0.356)
O (0.894, 0.894, 0.894)
O (0.894, 0.319, 0.894)
Sr (0.500, 0.500, 0.500)
Sr (0.750, 0.750, 0.750)

## Properties
The energy above the most stable polymorph in this dataset comes out at 4.1 kJ/mol of atoms. For the total magnetization, the calculation gives 0.00 μB per atom.

***

(4)
DFT (r2SCAN) results for LuTaO4 after structural relaxation.

a b c (Å): 5.029 5.201 5.423
angles (deg): 90.00 90.00 95.64
Fractional coordinates of all 12 atoms:
O (0.755, 0.908, 0.084)
O (0.245, 0.092, 0.916)
O (0.755, 0.408, 0.916)
O (0.733, 0.995, 0.570)
O (0.267, 0.005, 0.430)
O (0.733, 0.495, 0.430)
O (0.267, 0.505, 0.570)
O (0.245, 0.592, 0.084)
Ta (0.500, 0.250, 0.697)
Ta (0.500, 0.750, 0.303)
Lu (0.000, 0.250, 0.228)
Lu (0.000, 0.750, 0.772)

## Properties
For the total magnetization, the calculation gives 0.00 μB per atom.

***

(5)
DFT (r2SCAN) results for LuTaO4 after structural relaxation.

a b c (Å): 6.389 6.389 5.010
angles (deg): 69.22 69.22 114.76
Fractional coordinates of all 12 atoms:
O (0.216, 0.279, 0.778)
O (0.624, 0.049, 0.161)
O (0.279, 0.216, 0.278)
O (0.721, 0.784, 0.722)
O (0.951, 0.376, 0.339)
O (0.049, 0.624, 0.661)
O (0.376, 0.951, 0.839)
O (0.784, 0.721, 0.222)
Lu (0.368, 0.632, 0.250)
Lu (0.632, 0.368, 0.750)
Ta (0.896, 0.104, 0.250)
Ta (0.104, 0.896, 0.750)

## Properties
For the total magnetization, the calculation gives 0.00 μB per atom.

***

(6)
DFT (r2SCAN) results for Lu2TiZnO6 after structural relaxation.

a b c (Å): 5.409 5.409 5.409
angles (deg): 60.00 60.00 60.00
Fractional coordinates of all 10 atoms:
Zn (0.000, 0.000, 0.000)
Lu (0.750, 0.750, 0.750)
Lu (0.250, 0.250, 0.250)
O (0.746, 0.746, 0.254)
O (0.746, 0.254, 0.746)
O (0.254, 0.254, 0.746)
O (0.254, 0.746, 0.746)
O (0.254, 0.746, 0.254)
O (0.746, 0.254, 0.254)
Ti (0.500, 0.500, 0.500)

## Properties
For the total magnetization, the calculation gives 0.00 μB per atom.

***

| no. | E_form (eV per formula unit) |
| --- | --- |
| 1 | -31.6 |
| 2 | -26.4 |
| 3 | -26.1 |
| 4 | -21.6 |
| 5 | -21.6 |
| 6 | -28.2 |